(1)
This record from Materials Project describes a relaxed structure of MgTiCo3O8. The functional is GGA+U.

abc: 5.9632 5.8251 5.8232
angles: 60.00 60.77 88.38
Closest atoms and distances in Å follow each position.
Fractional positions:
Mg (0.5000, 0.5000, 0.5000)  6 O 2.09-2.15
Ti (0.0000, 0.0000, 0.0000)  6 O 1.97-2.00
Co (0.0000, 0.0000, 0.5000)  6 O 2.06-2.10
Co (0.0000, 0.5000, 0.0000)  6 O 1.89-1.92
Co (0.0000, 0.5000, 0.5000)  6 O 1.89-1.92
O (0.2107, 0.2523, 0.0025)  2 Co 1.89-2.10, 1 Ti 1.97
O (0.2109, 0.2522, 0.5344)  2 Co 1.89-2.10, 1 Ti 1.97
O (0.1947, 0.7107, 0.0474)  2 Co 1.91, 1 Ti 2.00
O (0.2028, 0.7043, 0.5464)  3 Co 1.92-2.06, 1 Mg 2.09
O (0.7972, 0.2957, 0.4536)  3 Co 1.92-2.06, 1 Mg 2.09
O (0.8053, 0.2893, 0.9526)  2 Co 1.91, 1 Ti 2.00
O (0.7891, 0.7478, 0.4656)  2 Co 1.89-2.10, 1 Ti 1.97
O (0.7893, 0.7477, 0.9975)  2 Co 1.89-2.10, 1 Ti 1.97

Values from the calculation:
As for the corrected total energy (MP2020 scheme): -7.321 eV per atom. For the formation energy from the elements, the calculation gives -1.90 eV/atom. The space group is C2/m, No. 12. For the total energy, the calculation gives -84.8 eV for the cell shown.

=====

(2)
This record from Materials Project describes a relaxed structure of MgTi4Co2O10. The functional is GGA+U.

abc: 3.7793 5.3605 10.1209
angles: 90.00 90.00 110.65
Closest atoms and distances in Å follow each position.
Fractional positions:
Mg (0.5500, 0.1065, 0.2500)  1 O 2.01
Ti (0.1245, 0.2492, 0.5683)  4 O 1.85-2.01
Ti (0.1245, 0.2492, 0.9317)  4 O 1.85-2.01
Ti (0.8574, 0.7149, 0.0598)  4 O 1.87-1.96
Ti (0.8574, 0.7149, 0.4402)  4 O 1.87-1.96
Co (0.2922, 0.5862, 0.2500)  4 O 1.93-2.05
Co (0.8007, 0.6015, 0.7500)  4 O 2.01-2.12
O (0.0339, 0.0675, 0.1194)  1 Ti 1.87
O (0.3069, 0.6140, 0.0481)  3 Ti 1.96-2.18, 1 Co 2.05
O (0.0339, 0.0675, 0.3806)  1 Ti 1.87
O (0.3069, 0.6140, 0.4519)  3 Ti 1.96-2.18, 1 Co 2.05
O (0.2044, 0.4088, 0.7500)  2 Ti 2.01, 2 Co 2.12
O (0.7532, 0.5077, 0.2500)  2 Co 1.93, 1 Mg 2.01
O (0.6726, 0.3453, 0.5566)  2 Ti 1.95
O (0.9455, 0.8913, 0.8865)  2 Ti 1.85-1.96, 1 Co 2.01
O (0.6726, 0.3453, 0.9434)  2 Ti 1.95
O (0.9455, 0.8913, 0.6135)  2 Ti 1.85-1.96, 1 Co 2.01

Values from the calculation:
As for the corrected total energy (MP2020 scheme): -8.474 eV per atom. For the formation energy from the elements, the calculation gives -2.78 eV/atom. The space group is Pm, No. 6. For the total energy, the calculation gives -133.9 eV for the cell shown.

=====

(3)
This record from Materials Project describes a relaxed structure of Mg6TiCoO8. The functional is GGA+U.

abc: 8.6782 4.2334 4.2334
angles: 90.00 90.00 90.00
Closest atoms and distances in Å follow each position.
Fractional positions:
Mg (0.5000, 0.0000, 0.0000)  6 O 2.07-2.12
Mg (0.5000, 0.5000, 0.5000)  6 O 2.12-2.19
Mg (0.2512, 0.0000, 0.5000)  6 O 2.12-2.18
Mg (0.7488, 0.0000, 0.5000)  6 O 2.12-2.18
Mg (0.2512, 0.5000, 0.0000)  6 O 2.12-2.18
Mg (0.7488, 0.5000, 0.0000)  6 O 2.12-2.18
Ti (0.0000, 0.5000, 0.5000)  6 O 2.12-2.15
Co (0.0000, 0.0000, 0.0000)  6 O 2.12-2.27
O (0.2614, 0.0000, 0.0000)  5 Mg 2.07-2.12, 1 Co 2.27
O (0.7386, 0.0000, 0.0000)  5 Mg 2.07-2.12, 1 Co 2.27
O (0.2473, 0.5000, 0.5000)  5 Mg 2.12-2.19, 1 Ti 2.15
O (0.7527, 0.5000, 0.5000)  5 Mg 2.12-2.19, 1 Ti 2.15
O (0.0000, 0.0000, 0.5000)  2 Ti 2.12, 2 Co 2.12, 2 Mg 2.18
O (0.5000, 0.0000, 0.5000)  6 Mg 2.12-2.16
O (0.0000, 0.5000, 0.0000)  2 Co 2.12, 2 Ti 2.12, 2 Mg 2.18
O (0.5000, 0.5000, 0.0000)  6 Mg 2.12-2.16

Values from the calculation:
As for the corrected total energy (MP2020 scheme): -6.764 eV per atom. For the formation energy from the elements, the calculation gives -2.75 eV/atom. The space group is P4/mmm, No. 123. For the total energy, the calculation gives -101.1 eV for the cell shown.

=====

(4)
This record from Materials Project describes a relaxed structure of MgTiCo3O8. The functional is GGA+U.

abc: 5.9539 5.8659 5.6636
angles: 60.55 61.72 91.78
Closest atoms and distances in Å follow each position.
Fractional positions:
Mg (0.5000, 0.5000, 0.0000)  6 O 2.12-2.21
Ti (0.0000, 0.0000, 0.0000)  6 O 1.97-2.05
Co (0.0000, 0.0000, 0.5000)  6 O 1.87-2.04
Co (0.0000, 0.5000, 0.0000)  4 O 1.86-1.94
Co (0.0000, 0.5000, 0.5000)  6 O 1.86-1.92
O (0.2198, 0.2192, 0.0408)  1 Co 1.87, 1 Ti 1.97
O (0.2125, 0.2590, 0.5138)  2 Co 1.92-2.00, 1 Ti 1.99, 1 Mg 2.12
O (0.2131, 0.7305, 0.0293)  2 Co 1.92-1.94, 1 Ti 2.05
O (0.1919, 0.7144, 0.5446)  3 Co 1.86-2.04
O (0.8081, 0.2856, 0.4554)  3 Co 1.86-2.04
O (0.7869, 0.2695, 0.9707)  2 Co 1.92-1.94, 1 Ti 2.05
O (0.7875, 0.7410, 0.4862)  2 Co 1.92-2.00, 1 Ti 1.99, 1 Mg 2.12
O (0.7802, 0.7808, 0.9592)  1 Co 1.87, 1 Ti 1.97

Values from the calculation:
As for the corrected total energy (MP2020 scheme): -7.332 eV per atom. For the formation energy from the elements, the calculation gives -1.92 eV/atom. The space group is P-1, No. 2. For the total energy, the calculation gives -84.9 eV for the cell shown.

=====

(5)
This record from Materials Project describes a relaxed structure of MgV3CoO8. The functional is GGA+U.

abc: 5.6998 6.7070 5.4074
angles: 89.98 89.31 93.07
Closest atoms and distances in Å follow each position.
Fractional positions:
Mg (0.4214, 0.1323, 0.4918)  4 O 2.00-2.02
V (0.0925, 0.1191, 0.0016)  4 O 1.69-1.81
V (0.4115, 0.6419, 0.4966)  4 O 1.73-1.93
V (0.5949, 0.3981, 0.9982)  4 O 1.83-2.02
Co (0.9153, 0.8563, 0.5061)  4 O 1.91-2.03
O (0.1141, 0.0691, 0.3229)  1 V 1.78
O (0.1101, 0.6349, 0.4615)  1 V 1.73, 1 Co 1.91
O (0.3766, 0.1810, 0.8583)  2 V 1.81-2.02, 1 Mg 2.02
O (0.4971, 0.6099, 0.8193)  2 V 1.83
O (0.5109, 0.4000, 0.3435)  2 V 1.92-1.93, 1 Mg 2.00
O (0.5842, 0.8801, 0.4292)  1 V 1.86, 1 Co 1.95, 1 Mg 2.00
O (0.9066, 0.3118, 0.9536)  2 V 1.74-1.91
O (0.9767, 0.9154, 0.8554)  1 V 1.69

Values from the calculation:
As for the corrected total energy (MP2020 scheme): -8.048 eV per atom. For the formation energy from the elements, the calculation gives -2.24 eV/atom. The space group is P1, No. 1. For the total energy, the calculation gives -92.4 eV for the cell shown.

=====

(6)
This record from Materials Project describes a relaxed structure of MgV2CoO6. The functional is GGA+U.

abc: 5.4491 5.4011 5.4571
angles: 55.86 56.18 55.97
Closest atoms and distances in Å follow each position.
Fractional positions:
Mg (0.1998, 0.2054, 0.2121)  6 O 2.02-2.23
V (0.9957, 0.9908, 0.0005)  5 O 1.82-2.03
V (0.4999, 0.4908, 0.4954)  5 O 1.82-2.03
Co (0.7098, 0.7059, 0.7020)  6 O 2.04-2.24
O (0.1244, 0.7797, 0.3773)  2 V 1.95-2.02, 1 Co 2.04, 1 Mg 2.14
O (0.3870, 0.1383, 0.7642)  1 V 1.82
O (0.7801, 0.3792, 0.1191)  2 V 1.94-2.03, 1 Co 2.04, 1 Mg 2.17
O (0.2575, 0.6386, 0.8880)  1 V 1.82
O (0.6168, 0.8811, 0.2809)  2 V 1.95-2.03, 1 Mg 2.03, 1 Co 2.18
O (0.8798, 0.2789, 0.6229)  2 V 1.95-2.03, 1 Mg 2.02, 1 Co 2.15

Values from the calculation:
As for the corrected total energy (MP2020 scheme): -7.976 eV per atom. For the formation energy from the elements, the calculation gives -2.32 eV/atom. The space group is P1, No. 1. For the total energy, the calculation gives -70.6 eV for the cell shown.